[1]
The following is a PBE calculation of an optimized crystal structure of Al2NiN3, from Materials Project. Values from VASP.

```
&SYSTEM
  ibrav = 0, nat = 12, ntyp = 3
/
ATOMIC_SPECIES
Ni 58.69 Ni.upf
N 14.01 N.upf
Al 26.98 Al.upf
CELL_PARAMETERS angstrom
5.4444 -0.0263 0.0000
-2.7438 4.7538 0.0000
0.0000 0.0000 4.9715
ATOMIC_POSITIONS crystal
Ni 0.0000 0.6463 0.4947
Ni 0.0000 0.3537 0.9947
N 0.6597 0.9925 0.8718
N 0.0000 0.6793 0.8653
N 0.6597 0.6672 0.3718
N 0.3403 0.3328 0.8718
N 0.0000 0.3207 0.3653
N 0.3403 0.0075 0.3718
Al 0.6618 0.6687 0.9923
Al 0.3382 0.3313 0.4923
Al 0.6618 0.9931 0.4923
Al 0.3382 0.0069 0.9923
```

Calculated values
The value obtained for the formation energy is -0.746 eV per atom. As for the space group: Cmc2_1.

***

[2]
The following is a PBE calculation of an optimized crystal structure of Dy3Al2, from Materials Project. Values from VASP.

```
&SYSTEM
  ibrav = 0, nat = 20, ntyp = 2
/
ATOMIC_SPECIES
Dy 162.50 Dy.upf
Al 26.98 Al.upf
CELL_PARAMETERS angstrom
-2.8833 -7.5893 -1.3943
1.7789 0.7946 -8.0037
6.9378 -2.8668 1.2573
ATOMIC_POSITIONS crystal
Dy 0.5000 0.0000 0.2500
Dy 0.1511 0.8489 0.5000
Dy 0.2001 0.7999 0.0000
Dy 0.6511 0.6511 0.0000
Dy 0.7999 0.2001 0.0000
Dy 0.8489 0.1511 0.5000
Dy 0.7001 0.7001 0.5000
Dy 0.3489 0.3489 0.0000
Dy 0.0000 0.5000 0.7500
Dy 0.2999 0.2999 0.5000
Dy 0.0000 0.5000 0.2500
Dy 0.5000 0.0000 0.7500
Al 0.3807 0.6193 0.3024
Al 0.1193 0.1193 0.8024
Al 0.3807 0.6193 0.6976
Al 0.6193 0.3807 0.3024
Al 0.6193 0.3807 0.6976
Al 0.8807 0.8807 0.1976
Al 0.8807 0.8807 0.8024
Al 0.1193 0.1193 0.1976
```

Calculated values
The value obtained for the formation energy is -0.319 eV per atom. As for the space group: P4_2/mnm.

***

[3]
The following is a PBE calculation of an optimized crystal structure of BaSb2, from Materials Project. Values from VASP.

```
&SYSTEM
  ibrav = 0, nat = 6, ntyp = 2
/
ATOMIC_SPECIES
Sb 121.76 Sb.upf
Ba 137.33 Ba.upf
CELL_PARAMETERS angstrom
0.4995 4.2410 -1.3670
-4.8841 -0.0357 -1.8955
-1.4196 3.0413 8.9165
ATOMIC_POSITIONS crystal
Sb 0.2500 0.9604 0.3957
Sb 0.2500 0.1685 0.9776
Sb 0.7500 0.0396 0.6043
Sb 0.7500 0.8315 0.0224
Ba 0.7500 0.4191 0.2855
Ba 0.2500 0.5809 0.7145
```

Calculated values
The value obtained for the formation energy is -0.849 eV per atom. As for the space group: P2_1/m.

***

[4]
The following is a PBE calculation of an optimized crystal structure of Tb2Ti2O7, from Materials Project. Values from VASP.

```
&SYSTEM
  ibrav = 0, nat = 22, ntyp = 3
/
ATOMIC_SPECIES
O 16.00 O.upf
Tb 158.93 Tb.upf
Ti 47.87 Ti.upf
CELL_PARAMETERS angstrom
2.4282 -6.5008 1.9633
-4.1410 -5.8298 -0.9361
1.7209 -4.8759 -5.0274
ATOMIC_POSITIONS crystal
O 0.2955 0.7045 0.7045
O 0.2955 0.7045 0.2955
O 0.5455 0.9545 0.9545
O 0.9545 0.5455 0.9545
O 0.2955 0.2955 0.7045
O 0.0000 0.0000 0.0000
O 0.9545 0.5455 0.5455
O 0.7045 0.2955 0.7045
O 0.5455 0.9545 0.5455
O 0.5455 0.5455 0.9545
O 0.7045 0.7045 0.2955
O 0.2500 0.2500 0.2500
O 0.7045 0.2955 0.2955
O 0.9545 0.9545 0.5455
Tb 0.1250 0.1250 0.1250
Tb 0.1250 0.1250 0.6250
Tb 0.6250 0.1250 0.1250
Tb 0.1250 0.6250 0.1250
Ti 0.6250 0.1250 0.6250
Ti 0.1250 0.6250 0.6250
Ti 0.6250 0.6250 0.6250
Ti 0.6250 0.6250 0.1250
```

Calculated values
The value obtained for the formation energy is -3.767 eV per atom. As for the space group: Fd-3m.

***

[5]
The following is a PBE calculation of an optimized crystal structure of Re3O8, from Materials Project. Values from VASP.

```
&SYSTEM
  ibrav = 0, nat = 11, ntyp = 2
/
ATOMIC_SPECIES
O 16.00 O.upf
Re 186.21 Re.upf
CELL_PARAMETERS angstrom
2.7866 4.8532 0.0000
-2.7866 4.8532 0.0000
0.0000 0.3014 4.7414
ATOMIC_POSITIONS crystal
O 0.3442 0.3442 0.7066
O 0.1304 0.6721 0.2286
O 0.6558 0.6558 0.2934
O 0.3279 0.8696 0.7714
O 0.8696 0.3279 0.7714
O 0.6721 0.1304 0.2286
O 0.8463 0.8463 0.7384
O 0.1537 0.1537 0.2616
Re 0.5000 0.0000 0.5000
Re 0.0000 0.5000 0.5000
Re 0.0000 0.0000 0.0000
```

Calculated values
The value obtained for the formation energy is -1.881 eV per atom. As for the space group: C2/m.

***

[6]
The following is a PBE calculation of an optimized crystal structure of AgBiSe2, from Materials Project. Values from VASP.

```
&SYSTEM
  ibrav = 0, nat = 8, ntyp = 3
/
ATOMIC_SPECIES
Ag 107.87 Ag.upf
Se 78.96 Se.upf
Bi 208.98 Bi.upf
CELL_PARAMETERS angstrom
5.5906 -1.1347 -4.4658
4.4293 -5.0226 2.7642
-7.1614 0.1136 -1.0892
ATOMIC_POSITIONS crystal
Ag 0.5000 0.5000 0.0000
Ag 0.2500 0.7500 0.5000
Se 0.7496 0.7496 0.0000
Se 0.4996 0.9996 0.5000
Se 0.0004 0.5004 0.5000
Se 0.2504 0.2504 0.0000
Bi 0.0000 0.0000 0.0000
Bi 0.7500 0.2500 0.5000
```

Calculated values
The value obtained for the formation energy is -0.449 eV per atom. As for the space group: I4_1/amd.

***

Which formula does entry 5 have? Re3O8